#1
A plane-wave DFT calculation with PBE with a Hubbard U was carried out for an optimized crystal structure of MgV3OF11.

Computed properties:
M_tot in μB/cell: 4.00
V in A^3/atom: 14.12
Symmetry: P1

Lattice parameters (Å, degrees): 7.3365 6.0951 5.2104 95.53 101.34 95.41
Sites, in units of the cell vectors:
1 Mg 0.1893 0.4910 0.0978
2 F 0.8459 0.9877 0.6703
3 F 0.7128 0.5765 0.4929
4 F 0.7836 0.8601 0.1391
5 F 0.5580 0.3120 0.8512
6 F 0.2805 0.4185 0.4571
7 F 0.9547 0.2961 0.1071
8 F 0.2059 0.1856 0.8819
9 F 0.4307 0.6854 0.1481
10 F 0.5527 0.1075 0.3438
11 F 0.4710 0.8623 0.6545
12 F 0.0618 0.7050 0.9003
13 V 0.0113 0.9992 0.0385
14 V 0.3730 0.1582 0.5992
15 V 0.6381 0.8279 0.4071
16 O 0.1646 0.9902 0.3274

#2
A plane-wave DFT calculation with PBE with a Hubbard U was carried out for an optimized crystal structure of MgV3OF11.

Computed properties:
M_tot in μB/cell: 4.00
V in A^3/atom: 13.41
Symmetry: P1

Lattice parameters (Å, degrees): 7.4086 5.7957 5.1980 98.74 101.26 95.50
Sites, in units of the cell vectors:
1 F 0.0531 0.7199 0.8199
2 F 0.5634 0.3194 0.8605
3 F 0.5268 0.1351 0.3414
4 F 0.4446 0.6818 0.1434
5 F 0.7621 0.5898 0.4347
6 F 0.8294 0.0219 0.6501
7 F 0.7761 0.8791 0.1051
8 F 0.2088 0.1542 0.9067
9 F 0.9544 0.3079 0.1467
10 F 0.2458 0.4193 0.5210
11 F 0.4764 0.8518 0.6419
12 V 0.3654 0.1571 0.6221
13 V 0.0184 0.0023 0.0427
14 V 0.6311 0.8495 0.3779
15 Mg 0.0313 0.5829 0.4426
16 O 0.1325 0.9266 0.3344

#1 is the most stable structure shown above.